Mn4Co4Si3Ge after structural relaxation, computed with GGA-PBE.

Unit cell a=5.7651 b=3.6832 c=6.9204 alpha=90.00 beta=90.31 gamma=90.00
With the nearest neighbours (Å) after each atom.
Sites, in units of the cell vectors:
1 Mn 0.0000 0.0000 0.0000  5 Si 2.53-2.56, 6 Co 2.68-2.73
2 Mn 0.0481 0.5000 0.3642  3 Si 2.52-2.53, 2 Ge 2.60, 6 Co 2.68-2.80
3 Mn 0.5045 0.0000 0.8746  4 Si 2.52-2.56, 1 Ge 2.57, 6 Co 2.64-2.76
4 Mn 0.5616 0.5000 0.4967  3 Si 2.53-2.55, 2 Ge 2.56, 5 Co 2.66-2.79
5 Co 0.1789 0.5000 0.7514  2 Si 2.24-2.26, 2 Ge 2.31
6 Co 0.3691 0.0000 0.2379  3 Si 2.25-2.29, 1 Ge 2.33
7 Co 0.6842 0.5000 0.1226  4 Si 2.27-2.29
8 Co 0.8596 0.0000 0.6238  3 Si 2.27-2.29, 1 Ge 2.37
9 Si 0.2933 0.5000 0.0617  4 Co 2.24-2.29
10 Si 0.7587 0.0000 0.3036  4 Co 2.27-2.29, 3 Mn 2.52-2.53
11 Si 0.7925 0.5000 0.8080  4 Co 2.26-2.27, 3 Mn 2.52-2.53
12 Ge 0.2628 0.0000 0.5617  4 Co 2.31-2.37, 3 Mn 2.56-2.57

As for the symmetry: Pm (6).

---

Ba2TbPaO6 after structural relaxation, computed with GGA-PBE.

Unit cell a=6.2863 b=6.2863 c=6.2863 alpha=60.00 beta=60.00 gamma=60.00
With the nearest neighbours (Å) after each atom.
Sites, in units of the cell vectors:
1 Ba 0.2500 0.2500 0.2500  12 O 3.14
2 Ba 0.7500 0.7500 0.7500  12 O 3.14
3 Tb 0.0000 0.0000 0.0000  6 O 2.26
4 Pa 0.5000 0.5000 0.5000  6 O 2.18
5 O 0.2547 0.2547 0.7453  1 Pa 2.18, 1 Tb 2.26
6 O 0.2547 0.7453 0.2547  1 Pa 2.18, 1 Tb 2.26
7 O 0.2547 0.7453 0.7453  1 Pa 2.18, 1 Tb 2.26
8 O 0.7453 0.2547 0.2547  1 Pa 2.18, 1 Tb 2.26
9 O 0.7453 0.2547 0.7453  1 Pa 2.18, 1 Tb 2.26
10 O 0.7453 0.7453 0.2547  1 Pa 2.18, 1 Tb 2.26

As for the symmetry: Fm-3m (225).

---

SmPdPb after structural relaxation, computed with GGA-PBE.

Unit cell a=7.9256 b=7.9256 c=3.9798 alpha=90.00 beta=90.00 gamma=120.00
With the nearest neighbours (Å) after each atom.
Sites, in units of the cell vectors:
1 Sm 0.0000 0.4031 0.0000  5 Pd 3.13-3.20, 6 Pb 3.31-3.44
2 Sm 0.4031 0.0000 0.0000  5 Pd 3.13-3.20, 6 Pb 3.31-3.44
3 Sm 0.5969 0.5969 0.0000  5 Pd 3.13-3.20, 6 Pb 3.31-3.44
4 Pd 0.0000 0.0000 0.0000  6 Pb 2.88, 3 Sm 3.20
5 Pd 0.3333 0.6667 0.5000  3 Pb 2.96, 6 Sm 3.13
6 Pd 0.6667 0.3333 0.5000  3 Pb 2.96, 6 Sm 3.13
7 Pb 0.0000 0.7374 0.5000  4 Pd 2.88-2.96
8 Pb 0.2626 0.2626 0.5000  4 Pd 2.88-2.96
9 Pb 0.7374 0.0000 0.5000  4 Pd 2.88-2.96

As for the symmetry: P-62m (189).

---

FeCo8S8 after structural relaxation, computed with GGA-PBE.

Unit cell a=6.9042 b=6.9042 c=6.9042 alpha=60.00 beta=60.00 gamma=60.00
With the nearest neighbours (Å) after each atom.
Sites, in units of the cell vectors:
1 Fe 0.0000 0.0000 0.0000  6 S 2.30
2 Co 0.1218 0.6261 0.6261  4 S 2.10-2.21
3 Co 0.3739 0.3739 0.3739  4 S 2.10-2.21
4 Co 0.3739 0.3739 0.8782  4 S 2.10-2.21
5 Co 0.3739 0.8782 0.3739  4 S 2.10-2.21
6 Co 0.6261 0.1218 0.6261  4 S 2.10-2.21
7 Co 0.6261 0.6261 0.1218  4 S 2.10-2.21
8 Co 0.6261 0.6261 0.6261  4 S 2.10-2.21
9 Co 0.8782 0.3739 0.3739  4 S 2.10-2.21
10 S 0.2351 0.2351 0.7649  4 Co 2.21, 1 Fe 2.30
11 S 0.2351 0.7649 0.2351  4 Co 2.21, 1 Fe 2.30
12 S 0.2351 0.7649 0.7649  4 Co 2.21, 1 Fe 2.30
13 S 0.2500 0.2500 0.2500  4 Co 2.10
14 S 0.7500 0.7500 0.7500  4 Co 2.10
15 S 0.7649 0.2351 0.2351  4 Co 2.21, 1 Fe 2.30
16 S 0.7649 0.2351 0.7649  4 Co 2.21, 1 Fe 2.30
17 S 0.7649 0.7649 0.2351  4 Co 2.21, 1 Fe 2.30

As for the symmetry: Fm-3m (225).

---

MgPb after structural relaxation, computed with GGA-PBE.

Unit cell a=5.5271 b=3.4095 c=5.6625 alpha=90.00 beta=90.00 gamma=90.00
With the nearest neighbours (Å) after each atom.
Sites, in units of the cell vectors:
1 Mg 0.2500 0.0000 0.1898  8 Pb 3.26-3.35, 4 Mg 3.41-3.50
2 Mg 0.7500 0.0000 0.8102  8 Pb 3.26-3.35, 4 Mg 3.41-3.50
3 Pb 0.2500 0.5000 0.7001  8 Mg 3.26-3.35, 4 Pb 3.41-3.57
4 Pb 0.7500 0.5000 0.2999  8 Mg 3.26-3.35, 4 Pb 3.41-3.57

As for the symmetry: Pmma (51).

---

Ba2CuO4 after structural relaxation, computed with GGA-PBE.

Unit cell a=8.4597 b=8.4597 c=8.4597 alpha=141.96 beta=141.96 gamma=54.89
With the nearest neighbours (Å) after each atom.
Sites, in units of the cell vectors:
1 Ba 0.1289 0.6289 0.5000  8 O 2.75-2.98
2 Ba 0.3711 0.8711 0.5000  8 O 2.75-2.98
3 Ba 0.6289 0.1289 0.5000  8 O 2.75-2.98
4 Ba 0.8711 0.3711 0.5000  8 O 2.75-2.98
5 Cu 0.0000 0.0000 0.0000  4 O 1.95
6 Cu 0.5000 0.5000 0.0000  4 O 1.94
7 O 0.1925 0.1925 0.0000  1 O 1.54
8 O 0.2506 0.2506 0.5012  2 Cu 1.94-1.95
9 O 0.2506 0.7494 0.0000  2 Cu 1.94-1.95
10 O 0.2951 0.2951 0.0000  1 O 1.54
11 O 0.7049 0.7049 0.0000  1 O 1.54
12 O 0.7494 0.2506 0.0000  2 Cu 1.94-1.95
13 O 0.7494 0.7494 0.4988  2 Cu 1.94-1.95
14 O 0.8075 0.8075 0.0000  1 O 1.54

As for the symmetry: I4/mmm (139).

---

GaRe after structural relaxation, computed with GGA-PBE.

Unit cell a=2.8919 b=2.8919 c=4.1267 alpha=90.00 beta=90.00 gamma=120.00
With the nearest neighbours (Å) after each atom.
Sites, in units of the cell vectors:
1 Ga 0.0000 0.0000 0.0000  6 Re 2.65, 6 Ga 2.89
2 Re 0.6667 0.3333 0.5000  6 Ga 2.65, 6 Re 2.89

As for the symmetry: P-6m2 (187).

---

Pu3Au after structural relaxation, computed with GGA-PBE.

Unit cell a=4.7634 b=4.7634 c=4.7634 alpha=60.00 beta=60.00 gamma=60.00
With the nearest neighbours (Å) after each atom.
Sites, in units of the cell vectors:
1 Pu 0.0000 0.0000 0.0000  8 Pu 2.92
2 Pu 0.2500 0.2500 0.2500  4 Au 2.92, 4 Pu 2.92
3 Pu 0.7500 0.7500 0.7500  4 Au 2.92, 4 Pu 2.92
4 Au 0.5000 0.5000 0.5000  8 Pu 2.92

As for the symmetry: Fm-3m (225). The calculation puts the polymorph energy (0 for the lowest one) at 2.77 eV/f.u.

---

K3DyCl6 after structural relaxation, computed with GGA-PBE.

Unit cell a=7.9298 b=7.9298 c=7.9298 alpha=60.00 beta=60.00 gamma=60.00
With the nearest neighbours (Å) after each atom.
Sites, in units of the cell vectors:
1 K 0.0000 0.0000 0.0000  6 Cl 2.98
2 K 0.2500 0.2500 0.2500  12 Cl 3.97
3 K 0.7500 0.7500 0.7500  12 Cl 3.97
4 Dy 0.5000 0.5000 0.5000  6 Cl 2.63
5 Cl 0.2655 0.2655 0.7345  1 Dy 2.63
6 Cl 0.2655 0.7345 0.2655  1 Dy 2.63
7 Cl 0.2655 0.7345 0.7345  1 Dy 2.63
8 Cl 0.7345 0.2655 0.2655  1 Dy 2.63
9 Cl 0.7345 0.2655 0.7345  1 Dy 2.63
10 Cl 0.7345 0.7345 0.2655  1 Dy 2.63

As for the symmetry: Fm-3m (225).

---

TiH2 after structural relaxation, computed with GGA-PBE.

Unit cell a=3.0964 b=3.0964 c=3.0964 alpha=117.89 beta=117.89 gamma=93.69
With the nearest neighbours (Å) after each atom.
Sites, in units of the cell vectors:
1 Ti 0.0000 0.0000 0.0000  8 H 1.92
2 H 0.2500 0.7500 0.5000  4 Ti 1.92, 2 H 2.12
3 H 0.7500 0.2500 0.5000  4 Ti 1.92, 2 H 2.12

As for the symmetry: I4/mmm (139).

---

MgZnNi2 after structural relaxation, computed with GGA-PBE.

Unit cell a=4.1734 b=4.1734 c=4.1734 alpha=60.00 beta=60.00 gamma=60.00
With the nearest neighbours (Å) after each atom.
Sites, in units of the cell vectors:
1 Mg 0.0000 0.0000 0.0000  8 Ni 2.56
2 Zn 0.5000 0.5000 0.5000  8 Ni 2.56
3 Ni 0.2500 0.2500 0.2500  4 Zn 2.56, 4 Mg 2.56
4 Ni 0.7500 0.7500 0.7500  4 Zn 2.56, 4 Mg 2.56

As for the symmetry: Fm-3m (225).

---

Mg2Sn after structural relaxation, computed with GGA-PBE.

Unit cell a=5.2864 b=8.2265 c=8.2265 alpha=23.57 beta=90.00 gamma=90.00
With the nearest neighbours (Å) after each atom.
Sites, in units of the cell vectors:
1 Mg 0.0000 0.0000 0.0000  8 Mg 3.16-3.36, 4 Sn 3.24
2 Mg 0.0000 0.3329 0.3329  10 Mg 3.16-3.36, 2 Sn 3.17
3 Mg 0.0000 0.6665 0.6665  6 Mg 3.16-3.36, 6 Sn 3.24-3.27
4 Mg 0.5000 0.8871 0.8871  4 Sn 3.11-3.12, 8 Mg 3.21-3.36
5 Sn 0.5000 0.2248 0.2248  8 Mg 3.11-3.27, 4 Sn 3.27-3.36
6 Sn 0.5000 0.5504 0.5504  8 Mg 3.12-3.24, 4 Sn 3.27-3.36

As for the symmetry: Amm2 (38).

---

no.,DFT formation energy (meV per atom)
1,-389.7
2,-3734.4
3,-730.1
4,-715.3
5,-33.7
6,-1893.0
7,115.0
8,602.1
9,-2425.8
10,-603.0
11,-206.8
12,-34.4